[1]
! KV2P2H4O13 | the Materials Project database | PBE+U | relaxed; values from VASP
&SYSTEM
  ibrav = 0, nat = 22, ntyp = 5
/
ATOMIC_SPECIES
K 39.10 K.upf
V 50.94 V.upf
P 30.97 P.upf
H 1.01 H.upf
O 16.00 O.upf
ATOMIC_POSITIONS crystal
K 0.000 0.000 0.000
V 0.286 0.245 0.402
V 0.714 0.755 0.598
P 0.250 0.750 0.499
P 0.750 0.250 0.501
H 0.254 0.364 0.017
H 0.493 0.725 0.036
H 0.507 0.275 0.964
H 0.746 0.636 0.983
O 0.000 0.500 0.000
O 0.009 0.747 0.636
O 0.216 0.240 0.644
O 0.288 0.939 0.351
O 0.307 0.550 0.364
O 0.359 0.260 0.057
O 0.395 0.769 0.647
O 0.605 0.231 0.353
O 0.641 0.740 0.943
O 0.693 0.450 0.636
O 0.712 0.061 0.649
O 0.784 0.760 0.356
O 0.991 0.253 0.364
CELL_PARAMETERS angstrom
6.257 0.000 0.000
0.118 6.296 0.000
1.898 -0.027 6.651
! Calculated formation energy in meV/atom: -2026
! Calculated total energy in eV per cell: -140.2
! Energy with MP2020 corrections in eV per atom: -6.93
! Crystal system: triclinic
! SG: P-1 (2)

***

[2]
! MgFe6O6F6 | the Materials Project database | PBE+U | relaxed; values from VASP
&SYSTEM
  ibrav = 0, nat = 19, ntyp = 4
/
ATOMIC_SPECIES
Mg 24.30 Mg.upf
Fe 55.84 Fe.upf
O 16.00 O.upf
F 19.00 F.upf
ATOMIC_POSITIONS crystal
Mg 0.000 0.000 0.000
Fe 0.478 0.262 0.335
Fe 0.485 0.466 0.642
Fe 0.497 0.512 0.976
Fe 0.980 0.674 0.192
Fe 0.983 0.844 0.482
Fe 0.988 0.890 0.805
O 0.478 0.516 0.232
O 0.482 0.708 0.557
O 0.484 0.998 0.423
O 0.485 0.825 0.896
O 0.985 0.589 0.724
O 0.988 0.682 0.061
F 0.490 0.073 0.748
F 0.501 0.186 0.055
F 0.979 0.029 0.243
F 0.980 0.508 0.396
F 0.984 0.231 0.590
F 0.999 0.269 0.907
CELL_PARAMETERS angstrom
3.072 0.000 0.000
-0.034 5.257 0.000
-0.008 -1.397 14.417
! Calculated formation energy in meV/atom: -2124
! Calculated total energy in eV per cell: -113.5
! Energy with MP2020 corrections in eV per atom: -7.05
! Crystal system: triclinic
! SG: P1 (1)

***

[3]
! Li4Mn5Cr2O12 | the Materials Project database | PBE+U | relaxed; values from VASP
&SYSTEM
  ibrav = 0, nat = 46, ntyp = 4
/
ATOMIC_SPECIES
Li 6.94 Li.upf
Mn 54.94 Mn.upf
Cr 52.00 Cr.upf
O 16.00 O.upf
ATOMIC_POSITIONS crystal
Li 0.001 0.000 0.235
Li 0.008 0.839 0.767
Li 0.260 0.998 0.996
Li 0.490 0.825 0.239
Li 0.510 0.325 0.761
Li 0.740 0.498 0.004
Li 0.992 0.339 0.233
Li 0.999 0.500 0.765
Mn 0.010 0.150 0.760
Mn 0.249 0.340 0.002
Mn 0.250 0.828 0.498
Mn 0.251 0.493 0.505
Mn 0.497 0.166 0.240
Mn 0.503 0.666 0.760
Mn 0.749 0.993 0.495
Mn 0.750 0.328 0.502
Mn 0.751 0.840 0.998
Mn 0.990 0.650 0.240
Cr 0.251 0.667 0.004
Cr 0.252 0.161 0.501
Cr 0.748 0.661 0.499
Cr 0.749 0.167 0.996
O 0.105 0.825 0.115
O 0.108 0.310 0.614
O 0.108 0.989 0.603
O 0.115 0.647 0.617
O 0.117 0.185 0.114
O 0.119 0.499 0.109
O 0.359 0.501 0.890
O 0.375 0.679 0.388
O 0.376 0.188 0.889
O 0.378 0.327 0.399
O 0.393 0.820 0.892
O 0.395 0.010 0.383
O 0.605 0.510 0.617
O 0.607 0.320 0.108
O 0.622 0.827 0.601
O 0.624 0.688 0.111
O 0.625 0.179 0.612
O 0.641 0.001 0.110
O 0.881 0.999 0.891
O 0.883 0.685 0.886
O 0.885 0.147 0.383
O 0.892 0.489 0.397
O 0.892 0.810 0.386
O 0.895 0.325 0.885
CELL_PARAMETERS angstrom
5.148 0.000 0.000
0.000 9.115 0.000
-1.888 0.000 9.975
! Calculated formation energy in meV/atom: -2153
! Calculated total energy in eV per cell: -322.1
! Energy with MP2020 corrections in eV per atom: -7.90
! Crystal system: monoclinic
! SG: P2_1 (4)

***

[4]
! V4OF11 | the Materials Project database | PBE+U | relaxed; values from VASP
&SYSTEM
  ibrav = 0, nat = 32, ntyp = 3
/
ATOMIC_SPECIES
V 50.94 V.upf
O 16.00 O.upf
F 19.00 F.upf
ATOMIC_POSITIONS crystal
V 0.000 0.000 0.000
V 0.001 0.483 0.500
V 0.251 0.842 0.629
V 0.255 0.375 0.126
V 0.497 0.254 0.747
V 0.507 0.750 0.252
V 0.746 0.103 0.368
V 0.750 0.625 0.874
O 0.294 0.568 0.684
O 0.672 0.959 0.296
F 0.171 0.414 0.838
F 0.176 0.903 0.338
F 0.177 0.213 0.037
F 0.178 0.702 0.538
F 0.218 0.167 0.564
F 0.233 0.685 0.063
F 0.274 0.062 0.188
F 0.318 0.042 0.711
F 0.325 0.835 0.911
F 0.330 0.536 0.213
F 0.331 0.331 0.414
F 0.675 0.663 0.586
F 0.681 0.157 0.089
F 0.682 0.454 0.785
F 0.719 0.940 0.811
F 0.736 0.425 0.313
F 0.772 0.311 0.937
F 0.777 0.809 0.440
F 0.825 0.591 0.164
F 0.825 0.785 0.963
F 0.829 0.274 0.458
F 0.831 0.074 0.660
CELL_PARAMETERS angstrom
5.258 0.000 0.000
2.607 4.781 0.000
2.575 -0.935 17.281
! Calculated formation energy in meV/atom: -3130
! Calculated total energy in eV per cell: -199.7
! Energy with MP2020 corrections in eV per atom: -7.03
! Crystal system: triclinic
! SG: P1 (1)

***

[5]
! Cs2KFeF6 | the Materials Project database | PBE+U | relaxed; values from VASP
&SYSTEM
  ibrav = 0, nat = 10, ntyp = 4
/
ATOMIC_SPECIES
Cs 132.91 Cs.upf
K 39.10 K.upf
Fe 55.84 Fe.upf
F 19.00 F.upf
ATOMIC_POSITIONS crystal
Cs 0.250 0.250 0.250
Cs 0.750 0.750 0.750
K 0.000 0.000 0.000
Fe 0.500 0.500 0.500
F 0.286 0.286 0.714
F 0.286 0.714 0.286
F 0.286 0.714 0.714
F 0.714 0.286 0.286
F 0.714 0.286 0.714
F 0.714 0.714 0.286
CELL_PARAMETERS angstrom
0.000 4.604 4.604
4.604 0.000 4.604
4.604 4.604 0.000
! Calculated formation energy in meV/atom: -2950
! Calculated total energy in eV per cell: -47.3
! Energy with MP2020 corrections in eV per atom: -5.24
! Crystal system: cubic
! SG: Fm-3m (225)

***

[6]
! LiMnP3O9 | the Materials Project database | PBE+U | relaxed; values from VASP
&SYSTEM
  ibrav = 0, nat = 56, ntyp = 4
/
ATOMIC_SPECIES
Li 6.94 Li.upf
Mn 54.94 Mn.upf
P 30.97 P.upf
O 16.00 O.upf
ATOMIC_POSITIONS crystal
Li 0.128 0.144 0.166
Li 0.372 0.856 0.666
Li 0.628 0.356 0.834
Li 0.872 0.644 0.334
Mn 0.153 0.870 0.392
Mn 0.347 0.130 0.892
Mn 0.653 0.630 0.608
Mn 0.847 0.370 0.108
P 0.030 0.683 0.681
P 0.190 0.520 0.192
P 0.200 0.195 0.568
P 0.300 0.805 0.068
P 0.310 0.480 0.692
P 0.470 0.317 0.181
P 0.530 0.817 0.319
P 0.690 0.980 0.808
P 0.700 0.305 0.432
P 0.800 0.695 0.932
P 0.810 0.020 0.308
P 0.970 0.183 0.819
O 0.041 0.231 0.660
O 0.094 0.389 0.134
O 0.099 0.129 0.920
O 0.128 0.613 0.320
O 0.132 0.810 0.624
O 0.138 0.541 0.733
O 0.158 0.138 0.415
O 0.193 0.905 0.160
O 0.229 0.634 0.053
O 0.271 0.366 0.553
O 0.307 0.095 0.660
O 0.342 0.862 0.915
O 0.362 0.459 0.233
O 0.368 0.190 0.124
O 0.372 0.387 0.820
O 0.401 0.871 0.420
O 0.406 0.611 0.634
O 0.459 0.769 0.160
O 0.541 0.269 0.340
O 0.594 0.111 0.866
O 0.599 0.371 0.080
O 0.628 0.887 0.680
O 0.632 0.690 0.376
O 0.638 0.959 0.267
O 0.658 0.362 0.585
O 0.693 0.595 0.840
O 0.729 0.866 0.947
O 0.771 0.134 0.447
O 0.807 0.405 0.340
O 0.842 0.638 0.085
O 0.862 0.041 0.767
O 0.868 0.310 0.876
O 0.872 0.113 0.180
O 0.901 0.629 0.580
O 0.906 0.889 0.366
O 0.959 0.731 0.840
CELL_PARAMETERS angstrom
8.576 0.000 0.000
0.000 8.693 0.000
0.000 0.000 9.002
! Calculated formation energy in meV/atom: -2627
! Calculated total energy in eV per cell: -403.1
! Energy with MP2020 corrections in eV per atom: -7.76
! Crystal system: orthorhombic
! SG: P2_12_12_1 (19)

***

[7]
! CrO | the Materials Project database | PBE+U | relaxed; values from VASP
&SYSTEM
  ibrav = 0, nat = 8, ntyp = 2
/
ATOMIC_SPECIES
Cr 52.00 Cr.upf
O 16.00 O.upf
ATOMIC_POSITIONS crystal
Cr 0.250 0.250 0.000
Cr 0.250 0.750 0.500
Cr 0.750 0.250 0.500
Cr 0.750 0.750 0.000
O 0.000 0.006 0.250
O 0.000 0.994 0.750
O 0.500 0.494 0.750
O 0.500 0.506 0.250
CELL_PARAMETERS angstrom
3.822 0.000 0.000
0.000 4.861 0.000
-0.141 0.000 5.480
! Calculated formation energy in meV/atom: -1871
! Calculated total energy in eV per cell: -62.6
! Energy with MP2020 corrections in eV per atom: -9.17
! Crystal system: monoclinic
! SG: C2/c (15)

***

[8]
! Li3Cr4P6O24 | the Materials Project database | PBE+U | relaxed; values from VASP
&SYSTEM
  ibrav = 0, nat = 74, ntyp = 4
/
ATOMIC_SPECIES
Li 6.94 Li.upf
Cr 52.00 Cr.upf
P 30.97 P.upf
O 16.00 O.upf
ATOMIC_POSITIONS crystal
Li 0.128 0.250 0.378
Li 0.250 0.373 0.123
Li 0.250 0.875 0.625
Li 0.372 0.750 0.122
Li 0.750 0.127 0.377
Li 0.750 0.625 0.875
Cr 0.501 0.001 0.998
Cr 0.501 0.002 0.503
Cr 0.502 0.498 0.999
Cr 0.503 0.503 0.502
Cr 0.997 0.499 0.000
Cr 0.998 0.998 0.997
Cr 0.999 0.502 0.501
Cr 0.999 0.997 0.500
P 0.126 0.876 0.250
P 0.128 0.750 0.878
P 0.250 0.126 0.876
P 0.250 0.625 0.375
P 0.372 0.250 0.622
P 0.374 0.624 0.750
P 0.624 0.374 0.250
P 0.624 0.750 0.374
P 0.750 0.374 0.624
P 0.750 0.875 0.125
P 0.876 0.126 0.750
P 0.876 0.250 0.126
O 0.003 0.300 0.893
O 0.007 0.204 0.117
O 0.095 0.889 0.393
O 0.096 0.706 0.703
O 0.110 0.004 0.205
O 0.113 0.616 0.413
O 0.113 0.997 0.699
O 0.117 0.613 0.916
O 0.196 0.201 0.584
O 0.201 0.116 0.003
O 0.201 0.496 0.606
O 0.205 0.587 0.198
O 0.295 0.493 0.382
O 0.299 0.302 0.915
O 0.299 0.905 0.295
O 0.304 0.887 0.004
O 0.383 0.299 0.496
O 0.387 0.085 0.884
O 0.387 0.800 0.504
O 0.390 0.595 0.894
O 0.404 0.108 0.610
O 0.405 0.798 0.794
O 0.493 0.611 0.197
O 0.497 0.390 0.297
O 0.502 0.392 0.797
O 0.504 0.611 0.706
O 0.586 0.889 0.383
O 0.593 0.200 0.203
O 0.609 0.704 0.500
O 0.610 0.407 0.109
O 0.611 0.913 0.118
O 0.613 0.198 0.497
O 0.702 0.093 0.702
O 0.702 0.503 0.616
O 0.703 0.109 0.000
O 0.703 0.700 0.087
O 0.797 0.796 0.405
O 0.797 0.884 0.996
O 0.798 0.415 0.801
O 0.798 0.501 0.391
O 0.887 0.384 0.585
O 0.889 0.007 0.302
O 0.890 0.999 0.798
O 0.891 0.391 0.095
O 0.907 0.110 0.607
O 0.914 0.296 0.303
O 0.996 0.702 0.107
O 0.998 0.794 0.890
CELL_PARAMETERS angstrom
-5.826 5.860 5.882
5.826 -5.860 5.882
5.826 5.860 -5.882
! Calculated formation energy in meV/atom: -2472
! Calculated total energy in eV per cell: -525.1
! Energy with MP2020 corrections in eV per atom: -7.76
! Crystal system: orthorhombic
! SG: I2_12_12_1 (24)

***

[9]
! Li2V3NiO8 | the Materials Project database | PBE+U | relaxed; values from VASP
&SYSTEM
  ibrav = 0, nat = 14, ntyp = 4
/
ATOMIC_SPECIES
Li 6.94 Li.upf
V 50.94 V.upf
Ni 58.69 Ni.upf
O 16.00 O.upf
ATOMIC_POSITIONS crystal
Li 0.000 0.000 0.000
Li 0.121 0.121 0.703
V 0.450 0.450 0.618
V 0.669 0.669 0.045
V 0.772 0.772 0.635
Ni 0.348 0.348 0.034
O 0.175 0.175 0.024
O 0.297 0.297 0.686
O 0.416 0.416 0.349
O 0.514 0.514 0.992
O 0.621 0.621 0.703
O 0.717 0.717 0.358
O 0.820 0.820 0.984
O 0.940 0.940 0.672
CELL_PARAMETERS angstrom
6.062 -2.008 0.000
6.062 2.008 0.000
-1.865 0.000 6.197
! Calculated formation energy in meV/atom: -2247
! Calculated total energy in eV per cell: -94.8
! Energy with MP2020 corrections in eV per atom: -7.71
! Crystal system: monoclinic
! SG: Cm (8)

***

[10]
! Li5Mn7O16 | the Materials Project database | PBE+U | relaxed; values from VASP
&SYSTEM
  ibrav = 0, nat = 56, ntyp = 3
/
ATOMIC_SPECIES
Li 6.94 Li.upf
Mn 54.94 Mn.upf
O 16.00 O.upf
ATOMIC_POSITIONS crystal
Li 0.000 0.000 0.000
Li 0.112 0.122 0.500
Li 0.122 0.621 0.500
Li 0.378 0.121 0.000
Li 0.388 0.622 0.000
Li 0.500 0.500 0.500
Li 0.612 0.378 0.000
Li 0.622 0.879 0.000
Li 0.878 0.379 0.500
Li 0.888 0.878 0.500
Mn 0.000 0.500 0.000
Mn 0.001 0.750 0.000
Mn 0.245 0.872 0.248
Mn 0.245 0.872 0.752
Mn 0.255 0.372 0.252
Mn 0.255 0.372 0.748
Mn 0.499 0.250 0.500
Mn 0.500 0.000 0.500
Mn 0.501 0.750 0.500
Mn 0.745 0.628 0.252
Mn 0.745 0.628 0.748
Mn 0.755 0.128 0.248
Mn 0.755 0.128 0.752
Mn 0.999 0.250 0.000
O 0.018 0.375 0.224
O 0.018 0.375 0.776
O 0.021 0.861 0.230
O 0.021 0.861 0.770
O 0.231 0.259 0.000
O 0.237 0.758 0.000
O 0.239 0.979 0.500
O 0.249 0.977 0.000
O 0.251 0.477 0.500
O 0.261 0.479 0.000
O 0.263 0.258 0.500
O 0.269 0.759 0.500
O 0.479 0.361 0.270
O 0.479 0.361 0.730
O 0.482 0.875 0.276
O 0.482 0.875 0.724
O 0.518 0.125 0.276
O 0.518 0.125 0.724
O 0.521 0.639 0.270
O 0.521 0.639 0.730
O 0.731 0.241 0.500
O 0.737 0.742 0.500
O 0.739 0.521 0.000
O 0.749 0.523 0.500
O 0.751 0.023 0.000
O 0.761 0.021 0.500
O 0.763 0.242 0.000
O 0.769 0.741 0.000
O 0.979 0.139 0.230
O 0.979 0.139 0.770
O 0.982 0.625 0.224
O 0.982 0.625 0.776
CELL_PARAMETERS angstrom
8.391 0.000 0.000
0.000 11.769 0.000
0.000 0.000 5.826
! Calculated formation energy in meV/atom: -2067
! Calculated total energy in eV per cell: -376.1
! Energy with MP2020 corrections in eV per atom: -7.53
! Crystal system: orthorhombic
! SG: Pnnm (58)

***

[11]
! Ba3V2S4O3 | the Materials Project database | PBE+U | relaxed; values from VASP
&SYSTEM
  ibrav = 0, nat = 24, ntyp = 4
/
ATOMIC_SPECIES
Ba 137.33 Ba.upf
V 50.94 V.upf
S 32.06 S.upf
O 16.00 O.upf
ATOMIC_POSITIONS crystal
Ba 0.000 0.000 0.000
Ba 0.000 0.241 0.687
Ba 0.000 0.554 0.241
Ba 0.500 0.309 0.377
Ba 0.500 0.864 0.618
Ba 0.501 0.622 0.931
V 0.232 0.932 0.309
V 0.364 0.265 0.975
V 0.732 0.932 0.309
V 0.864 0.599 0.642
S 0.231 0.598 0.642
S 0.480 0.107 0.520
S 0.483 0.721 0.273
S 0.485 0.968 0.135
S 0.731 0.265 0.976
S 0.978 0.896 0.483
S 0.980 0.142 0.345
S 0.983 0.757 0.098
O 0.263 0.091 0.844
O 0.264 0.307 0.149
O 0.264 0.397 0.933
O 0.763 0.556 0.468
O 0.764 0.467 0.685
O 0.764 0.772 0.773
CELL_PARAMETERS angstrom
6.072 0.000 0.000
-0.004 10.304 0.000
-0.038 -5.128 8.940
! Calculated formation energy in meV/atom: -2270
! Calculated total energy in eV per cell: -150.2
! Energy with MP2020 corrections in eV per atom: -6.88
! Crystal system: triclinic
! SG: P1 (1)

***

Q: Among the records above, which one has the lowest calculated formation energy?
A: V4OF11

***

Q: Which of these has the lowest energy with MP2020 corrections?
A: CrO

***

Q: The highest calculated total energy belongs to which entry?
A: Cs2KFeF6

***

Q: What is the calculated total energy in the third record?
A: -322.1 eV per cell